No. 1
Here is crystalline NaCaInS3O12 at its relaxed geometry from Materials Project. Energies are from PBE.

## Properties
* M_tot: 0.00 μB per cell
* total energy after the MP2020 corrections: -6.543 eV/atom
* V: 15.4 A^3/atom

```
NaCaInS3O12
1.0
8.979 0.000 0.000
-4.489 7.776 0.000
0.000 0.000 23.850
O In S Ca Na
72 6 18 6 6
Cartesian
3.891 6.334 13.996
5.210 4.350 0.744
5.412 0.981 3.182
3.566 6.165 7.157
2.942 2.795 10.021
3.626 4.138 5.883
0.721 1.758 16.644
2.719 7.751 9.858
3.583 1.072 5.883
0.598 3.742 17.971
5.423 4.197 3.182
-0.949 6.423 6.046
0.934 1.605 19.082
0.923 3.573 11.132
2.633 2.598 3.182
1.547 0.203 13.996
-2.719 7.751 21.783
-0.721 6.942 20.619
-0.923 3.573 23.057
5.396 1.072 17.808
-0.598 3.742 6.046
2.607 2.337 0.744
-1.770 5.159 1.908
3.566 0.981 15.107
6.260 2.567 5.883
1.547 5.387 6.046
1.856 5.190 23.057
8.045 1.605 7.157
3.891 1.150 21.946
0.949 1.239 2.071
0.863 1.546 9.858
-1.856 5.190 11.132
3.769 4.350 12.669
-0.907 3.663 13.833
-0.720 1.758 4.719
2.607 7.521 16.644
1.883 4.929 20.619
5.353 4.138 17.808
6.037 2.795 21.946
0.863 6.730 1.908
0.949 6.423 17.971
3.327 1.089 12.669
7.122 0.006 19.082
0.907 3.663 1.908
6.372 2.337 12.669
3.327 6.273 4.719
-1.547 5.387 17.971
-1.883 4.929 8.694
5.652 1.089 0.744
-3.583 6.255 9.858
3.540 3.831 21.946
1.162 3.681 8.694
-1.162 3.681 20.619
3.583 6.255 21.783
5.087 6.334 2.071
-0.863 1.546 21.783
3.556 4.197 15.107
5.087 1.150 10.021
2.719 2.567 17.808
0.721 6.942 8.694
5.412 6.165 19.082
-2.607 7.521 4.719
6.346 2.598 15.107
5.439 3.831 10.021
-0.863 6.730 13.833
-0.934 6.789 23.057
1.856 0.006 7.157
1.770 5.159 13.833
7.431 0.203 2.071
0.933 6.789 11.132
8.029 1.239 13.996
-3.327 6.273 16.644
4.489 2.592 11.595
0.000 5.184 19.546
0.000 5.184 7.620
0.000 0.000 3.645
0.000 0.000 15.570
4.489 2.592 23.521
-1.258 7.575 21.873
-2.700 5.078 9.948
5.748 4.983 1.998
1.789 2.486 1.998
1.789 7.670 17.898
-3.048 5.491 17.898
-1.442 2.899 21.873
-1.258 2.391 5.973
-1.789 7.670 5.973
2.700 5.078 21.873
5.931 0.307 1.998
3.231 4.983 13.923
1.258 7.575 9.948
1.258 2.391 17.898
7.190 2.486 13.923
3.048 5.491 5.973
3.048 0.307 13.923
1.442 2.899 9.948
0.000 0.000 20.317
0.000 0.000 8.391
0.000 5.184 0.441
4.489 2.592 16.342
4.489 2.592 4.416
0.000 5.184 12.367
0.000 5.184 15.894
4.489 2.592 7.944
0.000 0.000 23.844
0.000 5.184 3.969
4.489 2.592 19.869
0.000 0.000 11.919
```

=====

No. 2
Here is crystalline Na3Ca3InS6O24 at its relaxed geometry from Materials Project. Energies are from PBE.

## Properties
* M_tot: 0.00 μB per cell
* total energy after the MP2020 corrections: -6.572 eV/atom
* V: 15.7 A^3/atom
* SG: P1 (1)

```
Na3Ca3InS6O24
1.0
9.124 0.000 0.000
4.557 7.930 0.000
0.057 0.079 24.040
Na Ca In S O
9 9 3 18 72
Cartesian
0.000 0.000 0.000
0.202 0.342 11.478
3.470 5.491 13.622
4.658 2.810 3.755
7.612 7.930 21.761
4.766 2.701 15.722
9.225 5.461 7.737
9.425 5.504 19.531
7.994 2.865 21.767
0.168 0.274 15.371
0.095 0.138 19.910
0.114 0.177 3.334
4.667 2.917 19.246
4.622 2.839 0.219
4.667 2.824 7.312
4.726 2.737 11.973
9.181 5.476 11.213
9.354 5.511 23.437
0.108 0.163 7.983
9.183 5.480 16.060
9.219 5.449 4.125
3.354 5.329 9.702
1.925 2.818 21.705
6.114 5.761 5.691
2.992 0.113 17.722
3.175 0.418 9.622
6.111 5.265 21.735
6.499 5.451 13.774
7.866 7.787 1.707
6.060 0.530 21.719
7.509 2.717 9.617
7.868 3.089 1.717
10.576 7.786 13.787
7.909 2.727 17.724
6.486 0.075 5.695
10.626 3.201 13.754
11.936 5.440 1.802
10.522 2.600 5.691
12.308 5.699 17.573
3.679 6.361 16.352
1.090 1.816 4.496
4.009 6.685 9.562
1.089 1.561 21.623
2.742 2.956 20.486
3.847 4.762 10.997
3.728 4.470 8.573
3.000 3.146 13.694
2.772 2.696 22.905
3.651 4.218 1.807
2.860 2.777 5.800
3.778 4.345 17.663
1.668 0.299 9.525
5.573 6.657 21.636
5.613 6.652 13.858
6.392 7.902 1.793
5.594 6.419 4.495
2.067 0.199 16.587
5.844 6.574 6.927
6.807 7.918 19.011
3.437 1.175 10.874
5.596 4.622 22.950
5.534 4.410 5.809
3.704 1.112 8.447
3.880 1.299 17.729
5.615 4.245 13.721
5.797 4.466 20.531
3.945 1.195 1.744
8.171 7.106 0.417
7.345 5.558 12.592
7.313 5.336 15.032
8.311 6.984 9.694
7.624 5.653 5.622
8.407 7.013 2.865
8.392 6.796 17.618
7.619 5.368 21.796
6.391 2.970 1.761
5.452 1.220 13.712
6.439 2.899 17.735
5.497 1.187 20.516
5.608 1.255 5.811
5.772 1.341 22.922
6.637 2.822 8.445
6.728 2.567 10.871
9.973 7.115 21.811
10.032 7.159 15.042
8.281 3.946 2.868
8.400 3.902 9.685
8.296 3.692 0.423
8.565 4.081 17.613
10.250 6.966 12.613
10.195 6.753 5.631
8.401 2.152 19.009
7.317 0.196 4.499
8.286 1.882 16.584
7.546 0.415 21.610
11.888 7.838 6.929
8.504 1.754 1.800
8.367 1.471 9.520
12.068 7.833 13.882
9.855 3.956 5.620
10.807 5.573 17.541
10.107 3.976 21.786
11.005 5.506 9.731
10.096 3.869 12.564
11.049 5.362 3.000
11.151 5.522 0.554
10.329 4.015 14.992
9.960 1.954 6.926
12.609 6.499 18.784
12.786 6.652 1.854
10.054 1.848 13.866
```

=====

No. 3
Here is crystalline NaCaIn3S6O24 at its relaxed geometry from Materials Project. Energies are from PBE.

## Properties
* M_tot: 0.00 μB per cell
* total energy after the MP2020 corrections: -6.499 eV/atom
* V: 15.6 A^3/atom
* SG: P3 (143)

```
NaCaIn3S6O24
1.0
8.953 0.000 0.000
-4.476 7.753 0.000
0.000 0.000 23.551
Na Ca In S O
3 3 9 18 72
Cartesian
0.000 0.000 0.000
0.000 0.000 11.729
0.000 5.169 3.842
0.000 0.000 3.458
0.000 5.169 0.377
0.000 5.169 12.253
0.000 0.000 8.127
0.000 0.000 15.273
0.000 0.000 19.939
0.000 5.169 7.495
0.000 5.169 19.163
4.476 2.584 4.367
4.476 2.584 11.275
4.476 2.584 16.135
4.476 2.584 23.018
-1.310 2.283 17.620
-3.117 5.433 5.864
-1.329 2.839 9.763
-2.675 5.181 21.514
-1.844 7.746 17.620
1.330 2.338 5.864
1.327 2.846 21.514
-1.353 7.484 9.763
1.892 2.521 13.725
3.191 0.359 1.919
1.348 7.480 21.514
2.682 5.182 9.763
3.192 4.810 1.919
5.824 0.378 13.725
1.787 7.736 5.864
3.154 5.477 17.620
5.714 4.854 13.725
7.046 2.584 1.919
-0.718 1.472 9.582
-3.553 6.395 21.346
-0.684 1.681 16.416
-3.320 6.256 4.675
-1.103 3.647 8.531
-1.845 4.982 20.294
-1.806 4.999 13.581
-1.071 3.799 1.852
-0.716 3.433 10.945
-1.870 5.420 22.710
-0.695 3.615 17.818
-1.629 5.283 6.041
0.714 1.479 21.346
-2.842 7.639 9.582
-2.678 7.505 16.416
0.718 1.750 4.675
1.040 1.275 13.849
1.724 0.242 1.985
1.799 0.243 18.821
1.098 1.520 7.087
0.717 3.424 22.710
-1.145 6.657 10.945
-0.998 6.547 17.818
0.716 3.701 6.041
1.050 3.690 13.581
1.084 3.664 20.294
-0.766 6.884 8.531
-0.651 6.781 1.852
2.718 2.287 12.503
3.479 1.151 0.692
3.480 1.193 17.432
2.797 2.473 5.714
2.721 2.684 14.937
3.734 1.003 3.146
2.793 2.705 21.664
3.740 1.074 9.917
1.722 4.926 1.852
0.914 6.523 6.041
0.756 6.817 13.581
0.761 6.860 20.294
1.869 4.974 8.531
1.693 5.344 17.818
1.861 5.416 10.945
1.152 6.662 22.710
3.478 4.018 3.146
5.213 1.066 21.664
3.536 3.977 9.917
5.267 1.015 14.937
5.412 1.186 5.714
3.734 4.164 0.692
3.770 4.143 17.432
5.613 1.210 12.503
2.602 7.500 4.675
3.362 6.320 16.416
7.087 0.191 7.087
2.838 7.632 21.346
3.561 6.395 9.582
3.787 6.074 18.821
3.824 6.139 1.985
7.328 0.263 13.849
5.098 4.256 12.503
6.180 2.417 17.432
5.219 4.094 5.714
6.216 2.437 0.692
6.153 2.702 9.917
5.422 3.981 21.664
5.440 4.054 14.937
6.217 2.732 3.146
5.061 6.215 13.849
7.881 1.372 1.985
7.843 1.436 18.821
5.243 6.042 7.087
```